Density functional theory data (PBE with a Hubbard U) for a geometry-optimized LiMn2B2O6 structure.

Lattice parameters (Å, degrees): 9.1056 9.1381 10.3202 88.09 89.56 60.27
Last column: nearest neighbours and their distance in Å.
Space group P1 (No. 1)
Inequivalent atoms, fractional coordinates:
Li 0.0000 0.0000 0.0000 [1 per cell]  3 O 1.89-2.04
Li 0.0086 0.9956 0.4895 [1 per cell]  3 O 1.91-1.99
Li 0.2254 0.5128 0.7284 [1 per cell]  4 O 1.96-2.13
Li 0.3138 0.3153 0.4369 [1 per cell]  4 O 1.95-2.16
Li 0.6402 0.6611 0.0047 [1 per cell]  4 O 1.94-2.05
Li 0.6836 0.6385 0.4796 [1 per cell]  3 O 1.90-1.99
Mn 0.0225 0.3286 0.9488 [1 per cell]  5 O 1.93-2.12
Mn 0.2177 0.1630 0.7030 [1 per cell]  5 O 1.96-2.10
Mn 0.2486 0.8412 0.2059 [1 per cell]  5 O 1.94-2.07
Mn 0.3303 0.6111 0.9662 [1 per cell]  4 O 2.04-2.25
Mn 0.3556 0.9648 0.4505 [1 per cell]  5 O 2.03-2.25
Mn 0.5457 0.1994 0.2053 [1 per cell]  4 O 2.03-2.18
Mn 0.5752 0.5286 0.7183 [1 per cell]  4 O 2.00-2.14
Mn 0.6414 0.3220 0.4622 [1 per cell]  5 O 1.95-2.07
Mn 0.6623 0.0016 0.9595 [1 per cell]  5 O 1.96-2.06
Mn 0.8875 0.8817 0.7095 [1 per cell]  5 O 2.02-2.24
Mn 0.8893 0.5233 0.2103 [1 per cell]  4 O 2.04-2.18
Mn 0.9931 0.6612 0.4537 [1 per cell]  5 O 1.95-2.07
B 0.2148 0.1997 0.2075 [1 per cell]  3 O 1.35-1.40
B 0.2398 0.8472 0.6985 [1 per cell]  3 O 1.35-1.43
B 0.3337 0.6398 0.4475 [1 per cell]  3 O 1.36-1.42
B 0.3377 0.9625 0.9584 [1 per cell]  3 O 1.34-1.41
B 0.5405 0.2080 0.7055 [1 per cell]  3 O 1.35-1.42
B 0.5492 0.5246 0.2155 [1 per cell]  3 O 1.35-1.41
B 0.6779 0.9720 0.4563 [1 per cell]  3 O 1.35-1.41
B 0.6858 0.3153 0.9598 [1 per cell]  3 O 1.35-1.42
B 0.8878 0.8642 0.1961 [1 per cell]  3 O 1.34-1.42
B 0.9137 0.5291 0.6885 [1 per cell]  3 O 1.33-1.42
B 0.9858 0.6455 0.9432 [1 per cell]  3 O 1.36-1.41
B 0.9961 0.3078 0.4678 [1 per cell]  3 O 1.34-1.43
O 0.0128 0.3762 0.7590 [1 per cell]  1 B 1.41
O 0.0662 0.2869 0.1330 [1 per cell]  1 B 1.40
O 0.0712 0.9403 0.6751 [1 per cell]  1 B 1.35
O 0.1538 0.5441 0.9242 [1 per cell]  1 B 1.36
O 0.1674 0.2189 0.5141 [1 per cell]  1 B 1.43
O 0.2270 0.1170 0.8930 [1 per cell]  1 B 1.41
O 0.2473 0.8103 0.4014 [1 per cell]  1 B 1.42
O 0.2522 0.5500 0.4599 [1 per cell]  1 B 1.36
O 0.2574 0.8773 0.0139 [1 per cell]  1 B 1.41
O 0.2664 0.0362 0.2522 [1 per cell]  1 B 1.39
O 0.3004 0.2760 0.2476 [1 per cell]  1 B 1.35
O 0.3183 0.6835 0.7497 [1 per cell]  1 B 1.39
O 0.3396 0.9231 0.6652 [1 per cell]  1 B 1.43
O 0.3722 0.2732 0.6943 [1 per cell]  1 B 1.35
O 0.3778 0.5975 0.1771 [1 per cell]  1 B 1.41
O 0.5047 0.5733 0.4820 [1 per cell]  1 B 1.41
O 0.5053 0.9009 0.9652 [1 per cell]  1 B 1.34
O 0.5828 0.1444 0.4258 [1 per cell]  1 B 1.40
O 0.5887 0.2402 0.0022 [1 per cell]  1 B 1.42
O 0.5905 0.4876 0.9242 [1 per cell]  1 B 1.41
O 0.6093 0.8714 0.4487 [1 per cell]  1 B 1.35
O 0.6222 0.3630 0.2751 [1 per cell]  1 B 1.40
O 0.6240 0.2903 0.6488 [1 per cell]  1 B 1.42
O 0.6379 0.6041 0.1906 [1 per cell]  1 B 1.35
O 0.6470 0.0561 0.7733 [1 per cell]  1 B 1.40
O 0.7204 0.9465 0.1451 [1 per cell]  1 B 1.42
O 0.7501 0.5890 0.6627 [1 per cell]  1 B 1.33
O 0.8482 0.9070 0.4945 [1 per cell]  1 B 1.41
O 0.8558 0.2296 0.9516 [1 per cell]  1 B 1.35
O 0.8883 0.5724 0.9868 [1 per cell]  1 B 1.41
O 0.8989 0.2353 0.4683 [1 per cell]  1 B 1.34
O 0.9038 0.8184 0.9141 [1 per cell]  1 B 1.39
O 0.9327 0.7159 0.2710 [1 per cell]  1 B 1.41
O 0.9363 0.4728 0.4184 [1 per cell]  1 B 1.40
O 0.9959 0.9211 0.1735 [1 per cell]  1 B 1.34
O 0.9984 0.6157 0.6446 [1 per cell]  1 B 1.42

Calculated values
**Energy of formation**: -2.425 eV per atom
**Total magnetization**: 0.818 μB per atom
**Energy relative to the lowest polymorph listed for this composition**: 7 meV per atom